# NaGdSiO4 (PBE, optimized geometry)
data_NaGdSiO4
_chemical_formula_sum 'Na8 Gd8 Si8 O32'
_cell_length_a 11.816
_cell_length_b 11.816
_cell_length_c 5.389
_cell_angle_alpha 90.00
_cell_angle_beta 90.00
_cell_angle_gamma 90.00
_symmetry_space_group_name_H-M 'I 4/m'
_symmetry_Int_Tables_number 87
_symmetry_space_group_name_Hall '-I 4'
loop_
_atom_site_label
_atom_site_type_symbol
_atom_site_fract_x
_atom_site_fract_y
_atom_site_fract_z
_atom_site_occupancy
Na1 Na 0.087 0.607 0.000 1
Gd1 Gd 0.121 0.191 0.000 1
Si1 Si 0.098 0.762 0.500 1
O1 O 0.040 0.807 0.243 1
O2 O 0.104 0.621 0.500 1
O3 O 0.195 0.232 0.500 1
# ΔE_f ... -3.290 eV/atom
# E ... -487.208 eV per cell
# Total moment ... 56.00 μB/cell